This record from the Materials Project describes a relaxed structure of SmAu6. The functional is PBE-GGA.

ΔH_f (0 K): -0.42 eV per atom
E_tot: -3.902 eV per atom
crystal system: tetragonal
ρ: 15.86 g/cm³

a = 10.590 Å, b = 10.590 Å, c = 9.951 Å
α = 90.00°, β = 90.00°, γ = 90.00°
Space group P4_2/ncm (No. 138, origin choice 2)
Unique sites:
Sm (0.075, 0.075, 0.210)
Au (0.000, 0.000, 0.500)
Au (0.014, 0.681, 0.579)
Au (0.124, 0.699, 0.855)
Au (0.146, 0.146, 0.681)
Au (0.250, 0.250, 0.437)